ErCoSi2 | meta-GGA r2SCAN | optimized geometry

CIF file:
```
data_ErCoSi2
_symmetry_space_group_name_H-M 'C m c m'
_symmetry_Int_Tables_number 63
_symmetry_space_group_name_Hall '-C 2c 2'
_cell_length_a 3.970
_cell_length_b 16.183
_cell_length_c 3.918
_cell_angle_alpha 90.00
_cell_angle_beta 90.00
_cell_angle_gamma 90.00
loop_
_atom_site_label
_atom_site_type_symbol
_atom_site_fract_x
_atom_site_fract_y
_atom_site_fract_z
Er1 Er 0.000 0.109 0.250
Co1 Co 0.000 0.322 0.250
Si1 Si 0.000 0.250 0.750
Si2 Si 0.000 0.457 0.250
```

Values from the calculation:
- ΔH_f (0 K) (eV/f.u.) = -3.015
- total energy (eV per cell) = -270.9
- magnetization (Bohr magnetons per cell) = 0.0